Record 1
DFT (PBE) results for a relaxed Nd2Au crystal.

Lattice parameters (Å, degrees): 7.3302 5.0787 9.3563 90.00 90.00 90.00
Element x y z (fractional)
Nd 0.0076 0.2500 0.1757
Nd 0.1513 0.2500 0.5853
Nd 0.3487 0.7500 0.0853
Nd 0.4924 0.7500 0.6757
Nd 0.5076 0.2500 0.3243
Nd 0.6513 0.2500 0.9147
Nd 0.8487 0.7500 0.4147
Nd 0.9924 0.7500 0.8243
Au 0.2429 0.2500 0.9035
Au 0.2571 0.7500 0.4035
Au 0.7429 0.2500 0.5965
Au 0.7571 0.7500 0.0965

Results
DFT formation energy in eV per formula unit: -1.66
Calculated volume in Å³ per cell: 348
ρ in g cm⁻³: 9.26

---

Record 2
DFT (PBE) results for a relaxed Nd2P2AuO crystal.

Lattice parameters (Å, degrees): 7.9143 7.9143 9.9785 129.05 129.05 31.12
Element x y z (fractional)
Nd 0.1327 0.1327 0.4524
Nd 0.1736 0.1736 0.1170
Nd 0.8264 0.8264 0.8830
Nd 0.8673 0.8673 0.5476
P 0.1480 0.1480 0.7668
P 0.4505 0.4505 0.8551
P 0.5495 0.5495 0.1449
P 0.8520 0.8520 0.2332
Au 0.4115 0.4115 0.1968
Au 0.5885 0.5885 0.8032
O 0.2792 0.2792 0.4281
O 0.7208 0.7208 0.5719

Results
DFT formation energy in eV per formula unit: -10.66
Magnetization in μB/atom: 0.00
Calculated volume in Å³ per cell: 244
ρ in g cm⁻³: 7.66

---

Record 3
DFT (PBE) results for a relaxed Nd2P3Au crystal.

Lattice parameters (Å, degrees): 4.1916 7.7705 16.7182 90.00 104.04 90.00
Element x y z (fractional)
Nd 0.0592 0.1048 0.2988
Nd 0.0592 0.3952 0.7988
Nd 0.2419 0.7313 0.4749
Nd 0.2419 0.7687 0.9749
Nd 0.7581 0.2313 0.0251
Nd 0.7581 0.2687 0.5251
Nd 0.9408 0.6048 0.2012
Nd 0.9408 0.8952 0.7012
P 0.1556 0.1163 0.9140
P 0.1556 0.3837 0.4140
P 0.3214 0.0360 0.5934
P 0.3214 0.4640 0.0934
P 0.4923 0.2049 0.7009
P 0.4923 0.2951 0.2009
P 0.5077 0.7049 0.7991
P 0.5077 0.7951 0.2991
P 0.6786 0.5360 0.9066
P 0.6786 0.9640 0.4066
P 0.8444 0.6163 0.5860
P 0.8444 0.8837 0.0860
Au 0.4098 0.5177 0.6547
Au 0.4098 0.9823 0.1547
Au 0.5902 0.0177 0.8453
Au 0.5902 0.4823 0.3453

Results
DFT formation energy in eV per formula unit: -6.13
Magnetization in μB/atom: 0.00
Calculated volume in Å³ per cell: 528
ρ in g cm⁻³: 7.27

---

Record 4
DFT (PBE) results for a relaxed NdPbAu crystal.

Lattice parameters (Å, degrees): 4.8945 4.8945 7.7066 90.00 90.00 120.00
Element x y z (fractional)
Nd 0.0000 0.0000 0.0000
Nd 0.0000 0.0000 0.5000
Pb 0.3333 0.6667 0.2500
Pb 0.6667 0.3333 0.7500
Au 0.3333 0.6667 0.7500
Au 0.6667 0.3333 0.2500

Results
DFT formation energy in eV per formula unit: -1.72
Magnetization in μB/atom: 0.00
Calculated volume in Å³ per cell: 160
ρ in g cm⁻³: 11.39

---

Q: Number 2 is which compound?
A: Nd2P2AuO

---

Copy entry 4 word for word.
DFT (PBE) results for a relaxed NdPbAu crystal.

Lattice parameters (Å, degrees): 4.8945 4.8945 7.7066 90.00 90.00 120.00
Element x y z (fractional)
Nd 0.0000 0.0000 0.0000
Nd 0.0000 0.0000 0.5000
Pb 0.3333 0.6667 0.2500
Pb 0.6667 0.3333 0.7500
Au 0.3333 0.6667 0.7500
Au 0.6667 0.3333 0.2500

Results
DFT formation energy in eV per formula unit: -1.72
Magnetization in μB/atom: 0.00
Calculated volume in Å³ per cell: 160
ρ in g cm⁻³: 11.39